A plane-wave DFT calculation with PBE was carried out for a relaxed structure of Nb3P.

```
data_Nb3P
_chemical_formula_sum 'Nb24 P8'
_cell_length_a 10.202
_cell_length_b 10.202
_cell_length_c 5.121
_cell_angle_alpha 90.00
_cell_angle_beta 90.00
_cell_angle_gamma 90.00
_symmetry_space_group_name_H-M 'P 1'
_symmetry_Int_Tables_number 1
_symmetry_space_group_name_Hall 'P 1'
loop_
_atom_site_label
_atom_site_type_symbol
_atom_site_fract_x
_atom_site_fract_y
_atom_site_fract_z
_atom_site_occupancy
Nb1 Nb 0.414 0.097 0.976 1
Nb2 Nb 0.213 0.691 0.510 1
Nb3 Nb 0.145 0.013 0.735 1
Nb4 Nb 0.513 0.355 0.235 1
Nb5 Nb 0.355 0.487 0.765 1
P1 P 0.024 0.793 0.769 1
Nb6 Nb 0.097 0.586 0.024 1
P2 P 0.476 0.707 0.731 1
Nb7 Nb 0.691 0.787 0.490 1
P3 P 0.207 0.024 0.231 1
Nb8 Nb 0.403 0.914 0.476 1
Nb9 Nb 0.914 0.597 0.524 1
Nb10 Nb 0.903 0.414 0.024 1
Nb11 Nb 0.013 0.855 0.265 1
P4 P 0.976 0.207 0.769 1
Nb12 Nb 0.586 0.903 0.976 1
Nb13 Nb 0.645 0.513 0.765 1
Nb14 Nb 0.487 0.645 0.235 1
P5 P 0.707 0.524 0.269 1
P6 P 0.793 0.976 0.231 1
P7 P 0.524 0.293 0.731 1
Nb15 Nb 0.855 0.987 0.735 1
Nb16 Nb 0.787 0.309 0.510 1
Nb17 Nb 0.713 0.191 0.990 1
Nb18 Nb 0.809 0.713 0.010 1
Nb19 Nb 0.597 0.086 0.476 1
Nb20 Nb 0.309 0.213 0.490 1
Nb21 Nb 0.287 0.809 0.990 1
Nb22 Nb 0.987 0.145 0.265 1
Nb23 Nb 0.191 0.287 0.010 1
P8 P 0.293 0.476 0.269 1
Nb24 Nb 0.086 0.403 0.524 1
```

Results
formation energy from the elements	-61	kJ per mole of atoms
total energy	-306.12	eV/cell